1.
{
  "formula": "GdNi2P2",
  "functional": "PBE-GGA",
  "state": "relaxed",
  "spacegroup": "No. 139",
  "lattice_angstrom": [[-1.948, 1.948, 4.706], [1.948, -1.948, 4.706], [1.948, 1.948, -4.706]],
  "species": ["Gd", "Ni", "Ni", "P", "P"],
  "fractional_positions": [[0.000, 0.000, 0.000], [0.250, 0.750, 0.500], [0.750, 0.250, 0.500], [0.376, 0.376, 0.000], [0.624, 0.624, 0.000]]
}

2.
{
  "formula": "PrCuSi",
  "functional": "PBE-GGA",
  "state": "relaxed",
  "spacegroup": "No. 194",
  "energy_mp2020_ev_per_atom": -5.34,
  "lattice_angstrom": [[4.240, 0.000, 0.000], [-2.120, 3.672, 0.000], [0.000, 0.000, 8.042]],
  "species": ["Pr", "Pr", "Cu", "Cu", "Si", "Si"],
  "fractional_positions": [[0.000, 0.000, 0.000], [0.000, 0.000, 0.500], [0.333, 0.667, 0.250], [0.667, 0.333, 0.750], [0.333, 0.667, 0.750], [0.667, 0.333, 0.250]]
}

3.
{
  "formula": "InPO6",
  "functional": "PBE-GGA",
  "state": "relaxed",
  "spacegroup": "No. 14",
  "de_polymorph_mev_per_atom": 94.1,
  "magnetic_moment_mub_per_cell": 16.002,
  "energy_mp2020_ev_per_atom": -6.01,
  "lattice_angstrom": [[9.808, 0.000, 0.000], [0.000, 10.155, 0.000], [-7.605, 0.000, 10.162]],
  "species": ["In", "In", "In", "In", "In", "In", "In", "In", "P", "P", "P", "P", "P", "P", "P", "P", "O", "O", "O", "O", "O", "O", "O", "O", "O", "O", "O", "O", "O", "O", "O", "O", "O", "O", "O", "O", "O", "O", "O", "O", "O", "O", "O", "O", "O", "O", "O", "O", "O", "O", "O", "O", "O", "O", "O", "O", "O", "O", "O", "O", "O", "O", "O", "O"],
  "fractional_positions": [[0.053, 0.071, 0.405], [0.053, 0.429, 0.905], [0.311, 0.747, 0.101], [0.311, 0.753, 0.601], [0.689, 0.247, 0.399], [0.689, 0.253, 0.899], [0.947, 0.571, 0.095], [0.947, 0.929, 0.595], [0.165, 0.667, 0.787], [0.165, 0.833, 0.287], [0.372, 0.037, 0.724], [0.372, 0.463, 0.224], [0.628, 0.537, 0.776], [0.628, 0.963, 0.276], [0.835, 0.167, 0.713], [0.835, 0.333, 0.213], [0.000, 0.242, 0.815], [0.000, 0.258, 0.315], [0.000, 0.742, 0.685], [0.000, 0.758, 0.185], [0.063, 0.573, 0.463], [0.063, 0.927, 0.963], [0.079, 0.099, 0.067], [0.079, 0.401, 0.567], [0.093, 0.616, 0.021], [0.093, 0.884, 0.521], [0.125, 0.524, 0.800], [0.125, 0.976, 0.300], [0.219, 0.501, 0.225], [0.219, 0.999, 0.725], [0.276, 0.739, 0.921], [0.276, 0.761, 0.421], [0.279, 0.656, 0.737], [0.279, 0.844, 0.237], [0.301, 0.113, 0.593], [0.301, 0.387, 0.093], [0.466, 0.590, 0.230], [0.466, 0.910, 0.730], [0.485, 0.249, 0.605], [0.485, 0.251, 0.105], [0.492, 0.122, 0.845], [0.492, 0.378, 0.345], [0.508, 0.622, 0.655], [0.508, 0.878, 0.155], [0.515, 0.749, 0.895], [0.515, 0.751, 0.395], [0.534, 0.090, 0.270], [0.534, 0.410, 0.770], [0.699, 0.613, 0.907], [0.699, 0.887, 0.407], [0.721, 0.156, 0.763], [0.721, 0.344, 0.263], [0.724, 0.239, 0.579], [0.724, 0.261, 0.079], [0.781, 0.001, 0.275], [0.781, 0.499, 0.775], [0.875, 0.024, 0.700], [0.875, 0.476, 0.200], [0.907, 0.116, 0.479], [0.907, 0.384, 0.979], [0.921, 0.599, 0.433], [0.921, 0.901, 0.933], [0.937, 0.073, 0.037], [0.937, 0.427, 0.537]]
}

4.
{
  "formula": "Na2LaNbSi2SO12",
  "functional": "PBE-GGA",
  "state": "relaxed",
  "magnetic_moment_mub_per_cell": 0.000,
  "energy_mp2020_ev_per_atom": -7.62,
  "lattice_angstrom": [[-7.750, -4.388, -2.915], [8.070, -1.565, -4.498], [3.886, -17.780, 14.446]],
  "species": ["Na", "Na", "Na", "Na", "Na", "Na", "Na", "Na", "Na", "Na", "Na", "Na", "La", "La", "La", "La", "La", "La", "Nb", "Nb", "Nb", "Nb", "Nb", "Nb", "Si", "Si", "Si", "Si", "Si", "Si", "Si", "Si", "Si", "Si", "Si", "Si", "S", "S", "S", "S", "S", "S", "O", "O", "O", "O", "O", "O", "O", "O", "O", "O", "O", "O", "O", "O", "O", "O", "O", "O", "O", "O", "O", "O", "O", "O", "O", "O", "O", "O", "O", "O", "O", "O", "O", "O", "O", "O", "O", "O", "O", "O", "O", "O", "O", "O", "O", "O", "O", "O", "O", "O", "O", "O", "O", "O", "O", "O", "O", "O", "O", "O", "O", "O", "O", "O", "O", "O", "O", "O", "O", "O", "O", "O"],
  "fractional_positions": [[0.976, 0.631, 0.248], [0.369, 0.024, 0.748], [0.643, 0.964, 0.581], [0.036, 0.357, 0.081], [0.310, 0.298, 0.915], [0.702, 0.690, 0.415], [0.010, 0.978, 0.499], [0.022, 0.990, 0.999], [0.677, 0.312, 0.832], [0.688, 0.323, 0.332], [0.343, 0.645, 0.165], [0.355, 0.657, 0.665], [0.996, 0.012, 0.352], [0.988, 0.004, 0.852], [0.663, 0.345, 0.685], [0.655, 0.337, 0.185], [0.330, 0.679, 0.019], [0.321, 0.670, 0.519], [0.998, 0.007, 0.646], [0.993, 0.002, 0.146], [0.665, 0.340, 0.980], [0.660, 0.335, 0.480], [0.331, 0.673, 0.313], [0.327, 0.669, 0.813], [0.699, 0.720, 0.253], [0.018, 0.313, 0.250], [0.280, 0.301, 0.753], [0.687, 0.982, 0.750], [0.365, 0.053, 0.586], [0.685, 0.646, 0.583], [0.947, 0.635, 0.086], [0.354, 0.315, 0.083], [0.032, 0.386, 0.919], [0.351, 0.980, 0.916], [0.614, 0.968, 0.419], [0.020, 0.649, 0.416], [0.286, 0.976, 0.248], [0.024, 0.714, 0.748], [0.952, 0.309, 0.581], [0.691, 0.048, 0.081], [0.619, 0.643, 0.915], [0.357, 0.381, 0.415], [0.221, 0.999, 0.303], [0.801, 0.786, 0.310], [0.003, 0.214, 0.305], [0.214, 0.199, 0.810], [0.001, 0.779, 0.803], [0.786, 0.997, 0.805], [0.801, 0.972, 0.691], [0.151, 0.184, 0.698], [0.037, 0.821, 0.699], [0.816, 0.849, 0.198], [0.028, 0.199, 0.191], [0.179, 0.963, 0.199], [0.888, 0.332, 0.636], [0.468, 0.119, 0.644], [0.670, 0.547, 0.639], [0.881, 0.532, 0.144], [0.668, 0.112, 0.136], [0.453, 0.330, 0.139], [0.467, 0.306, 0.024], [0.818, 0.517, 0.031], [0.703, 0.154, 0.032], [0.483, 0.182, 0.531], [0.694, 0.533, 0.524], [0.846, 0.297, 0.532], [0.555, 0.666, 0.970], [0.134, 0.452, 0.977], [0.336, 0.880, 0.972], [0.548, 0.866, 0.477], [0.334, 0.445, 0.470], [0.120, 0.664, 0.472], [0.134, 0.639, 0.358], [0.485, 0.850, 0.365], [0.370, 0.488, 0.365], [0.150, 0.515, 0.865], [0.361, 0.866, 0.858], [0.512, 0.630, 0.865], [0.979, 0.797, 0.413], [0.796, 0.995, 0.412], [0.233, 0.211, 0.408], [0.005, 0.204, 0.912], [0.203, 0.021, 0.913], [0.789, 0.767, 0.908], [0.945, 0.141, 0.582], [0.183, 0.046, 0.593], [0.861, 0.828, 0.590], [0.954, 0.817, 0.093], [0.859, 0.055, 0.082], [0.172, 0.139, 0.090], [0.646, 0.130, 0.746], [0.463, 0.328, 0.745], [0.900, 0.545, 0.741], [0.672, 0.537, 0.245], [0.870, 0.354, 0.246], [0.455, 0.100, 0.241], [0.612, 0.475, 0.916], [0.850, 0.379, 0.926], [0.528, 0.161, 0.924], [0.621, 0.150, 0.426], [0.525, 0.388, 0.416], [0.839, 0.472, 0.424], [0.313, 0.463, 0.079], [0.129, 0.661, 0.079], [0.566, 0.878, 0.075], [0.339, 0.871, 0.579], [0.537, 0.687, 0.579], [0.122, 0.434, 0.575], [0.278, 0.808, 0.249], [0.517, 0.713, 0.259], [0.194, 0.494, 0.257], [0.287, 0.483, 0.759], [0.192, 0.722, 0.749], [0.506, 0.806, 0.757]]
}

5.
{
  "formula": "LiCu2F5",
  "functional": "PBE-GGA",
  "state": "relaxed",
  "spacegroup": "No. 62",
  "de_polymorph_mev_per_atom": 60.9,
  "magnetic_moment_mub_per_cell": 8.000,
  "energy_mp2020_ev_per_atom": -4.51,
  "lattice_angstrom": [[13.427, 0.000, 0.000], [0.000, 10.023, 0.000], [0.000, 0.000, 3.144]],
  "species": ["Li", "Li", "Li", "Li", "Cu", "Cu", "Cu", "Cu", "Cu", "Cu", "Cu", "Cu", "F", "F", "F", "F", "F", "F", "F", "F", "F", "F", "F", "F", "F", "F", "F", "F", "F", "F", "F", "F"],
  "fractional_positions": [[0.232, 0.250, 0.236], [0.268, 0.750, 0.736], [0.732, 0.250, 0.264], [0.768, 0.750, 0.764], [0.073, 0.090, 0.726], [0.073, 0.410, 0.726], [0.427, 0.590, 0.226], [0.427, 0.910, 0.226], [0.573, 0.090, 0.774], [0.573, 0.410, 0.774], [0.927, 0.590, 0.274], [0.927, 0.910, 0.274], [0.055, 0.250, 0.104], [0.070, 0.554, 0.291], [0.070, 0.946, 0.291], [0.209, 0.123, 0.724], [0.209, 0.377, 0.724], [0.291, 0.623, 0.224], [0.291, 0.877, 0.224], [0.430, 0.054, 0.791], [0.430, 0.446, 0.791], [0.445, 0.750, 0.604], [0.555, 0.250, 0.396], [0.570, 0.554, 0.209], [0.570, 0.946, 0.209], [0.709, 0.123, 0.776], [0.709, 0.377, 0.776], [0.791, 0.623, 0.276], [0.791, 0.877, 0.276], [0.930, 0.054, 0.709], [0.930, 0.446, 0.709], [0.945, 0.750, 0.896]]
}

6.
{
  "formula": "Na4Ca2P8O35",
  "functional": "PBE-GGA",
  "state": "relaxed",
  "spacegroup": "No. 28",
  "magnetic_moment_mub_per_cell": 4.000,
  "lattice_angstrom": [[28.556, 0.000, 0.000], [0.000, 7.776, 0.000], [0.000, 0.000, 7.465]],
  "species": ["Na", "Na", "Na", "Na", "Na", "Na", "Na", "Na", "Ca", "Ca", "Ca", "Ca", "P", "P", "P", "P", "P", "P", "P", "P", "P", "P", "P", "P", "P", "P", "P", "P", "O", "O", "O", "O", "O", "O", "O", "O", "O", "O", "O", "O", "O", "O", "O", "O", "O", "O", "O", "O", "O", "O", "O", "O", "O", "O", "O", "O", "O", "O", "O", "O", "O", "O", "O", "O", "O", "O", "O", "O", "O", "O", "O", "O", "O", "O", "O", "O", "O", "O", "O", "O", "O", "O", "O", "O", "O", "O", "O", "O", "O", "O", "O", "O", "O", "O", "O", "O", "O", "O"],
  "fractional_positions": [[0.126, 0.040, 0.000], [0.132, 0.510, 0.490], [0.368, 0.510, 0.490], [0.374, 0.040, 0.000], [0.626, 0.960, 0.000], [0.632, 0.490, 0.490], [0.868, 0.490, 0.490], [0.874, 0.960, 0.000], [0.000, 0.000, 0.952], [0.250, 0.422, 0.513], [0.500, 0.000, 0.952], [0.750, 0.578, 0.513], [0.051, 0.308, 0.233], [0.053, 0.690, 0.215], [0.197, 0.418, 0.085], [0.197, 0.708, 0.822], [0.303, 0.418, 0.085], [0.303, 0.708, 0.822], [0.447, 0.690, 0.215], [0.449, 0.308, 0.233], [0.551, 0.692, 0.233], [0.553, 0.310, 0.215], [0.697, 0.292, 0.822], [0.697, 0.582, 0.085], [0.803, 0.292, 0.822], [0.803, 0.582, 0.085], [0.947, 0.310, 0.215], [0.949, 0.692, 0.233], [0.002, 0.701, 0.316], [0.033, 0.299, 0.722], [0.052, 0.146, 0.712], [0.052, 0.494, 0.135], [0.053, 0.804, 0.051], [0.054, 0.178, 0.084], [0.059, 0.428, 0.705], [0.085, 0.297, 0.384], [0.090, 0.713, 0.353], [0.164, 0.299, 0.995], [0.164, 0.855, 0.816], [0.177, 0.117, 0.552], [0.192, 0.615, 0.015], [0.196, 0.574, 0.674], [0.197, 0.435, 0.288], [0.199, 0.028, 0.442], [0.250, 0.120, 0.385], [0.250, 0.369, 0.017], [0.250, 0.788, 0.833], [0.301, 0.028, 0.442], [0.303, 0.435, 0.288], [0.304, 0.574, 0.674], [0.308, 0.615, 0.015], [0.323, 0.117, 0.552], [0.336, 0.299, 0.995], [0.336, 0.855, 0.816], [0.410, 0.713, 0.353], [0.415, 0.297, 0.384], [0.441, 0.428, 0.705], [0.446, 0.178, 0.084], [0.447, 0.804, 0.051], [0.448, 0.146, 0.712], [0.448, 0.494, 0.135], [0.467, 0.299, 0.722], [0.498, 0.701, 0.316], [0.502, 0.299, 0.316], [0.533, 0.701, 0.722], [0.552, 0.506, 0.135], [0.552, 0.854, 0.712], [0.553, 0.196, 0.051], [0.554, 0.822, 0.084], [0.559, 0.572, 0.705], [0.585, 0.703, 0.384], [0.590, 0.287, 0.353], [0.664, 0.145, 0.816], [0.664, 0.701, 0.995], [0.677, 0.883, 0.552], [0.692, 0.385, 0.015], [0.696, 0.426, 0.674], [0.697, 0.565, 0.288], [0.699, 0.972, 0.442], [0.750, 0.212, 0.833], [0.750, 0.631, 0.017], [0.750, 0.880, 0.385], [0.801, 0.972, 0.442], [0.803, 0.565, 0.288], [0.804, 0.426, 0.674], [0.808, 0.385, 0.015], [0.823, 0.883, 0.552], [0.836, 0.145, 0.816], [0.836, 0.701, 0.995], [0.910, 0.287, 0.353], [0.915, 0.703, 0.384], [0.941, 0.572, 0.705], [0.946, 0.822, 0.084], [0.947, 0.196, 0.051], [0.948, 0.506, 0.135], [0.948, 0.854, 0.712], [0.967, 0.701, 0.722], [0.998, 0.299, 0.316]]
}

7.
{
  "formula": "Ca2Si3O11",
  "functional": "PBE-GGA",
  "state": "relaxed",
  "spacegroup": "No. 8",
  "de_polymorph_mev_per_atom": 216.8,
  "magnetic_moment_mub_per_cell": 9.471,
  "energy_mp2020_ev_per_atom": -6.86,
  "lattice_angstrom": [[3.358, -11.367, 0.000], [3.358, 11.367, 0.000], [-2.569, 0.000, 6.284]],
  "species": ["Ca", "Ca", "Ca", "Ca", "Si", "Si", "Si", "Si", "Si", "Si", "O", "O", "O", "O", "O", "O", "O", "O", "O", "O", "O", "O", "O", "O", "O", "O", "O", "O", "O", "O", "O", "O"],
  "fractional_positions": [[0.201, 0.799, 0.000], [0.296, 0.714, 0.489], [0.714, 0.296, 0.489], [0.799, 0.201, 0.000], [0.200, 0.889, 0.536], [0.307, 0.622, 0.952], [0.622, 0.307, 0.952], [0.760, 0.899, 0.174], [0.889, 0.200, 0.536], [0.899, 0.760, 0.174], [0.027, 0.837, 0.418], [0.066, 0.889, 0.041], [0.080, 0.692, 0.618], [0.124, 0.393, 0.742], [0.173, 0.173, 0.138], [0.174, 0.174, 0.728], [0.185, 0.577, 0.109], [0.319, 0.921, 0.383], [0.387, 0.584, 0.502], [0.393, 0.124, 0.742], [0.415, 0.816, 0.874], [0.491, 0.686, 0.063], [0.577, 0.185, 0.109], [0.584, 0.387, 0.502], [0.686, 0.491, 0.063], [0.692, 0.080, 0.618], [0.799, 0.799, 0.192], [0.816, 0.415, 0.874], [0.837, 0.027, 0.418], [0.889, 0.066, 0.041], [0.921, 0.319, 0.383], [0.990, 0.990, 0.718]]
}

8.
{
  "formula": "ErZn3",
  "functional": "PBE-GGA",
  "state": "relaxed",
  "spacegroup": "No. 62",
  "lattice_angstrom": [[6.637, 0.000, 0.000], [0.000, 4.377, 0.000], [0.000, 0.000, 10.046]],
  "species": ["Er", "Er", "Er", "Er", "Zn", "Zn", "Zn", "Zn", "Zn", "Zn", "Zn", "Zn", "Zn", "Zn", "Zn", "Zn"],
  "fractional_positions": [[0.221, 0.250, 0.164], [0.279, 0.750, 0.664], [0.721, 0.250, 0.336], [0.779, 0.750, 0.836], [0.036, 0.750, 0.397], [0.080, 0.250, 0.852], [0.216, 0.750, 0.957], [0.284, 0.250, 0.457], [0.420, 0.750, 0.352], [0.464, 0.250, 0.897], [0.536, 0.750, 0.103], [0.580, 0.250, 0.648], [0.716, 0.750, 0.543], [0.784, 0.250, 0.043], [0.920, 0.750, 0.148], [0.964, 0.250, 0.603]]
}

9.
{
  "formula": "SrLa3MgAlO8",
  "functional": "PBE-GGA",
  "state": "relaxed",
  "spacegroup": "No. 38",
  "magnetic_moment_mub_per_cell": 0.000,
  "energy_mp2020_ev_per_atom": -7.96,
  "lattice_angstrom": [[5.437, 0.000, 0.000], [0.000, 2.731, 6.317], [0.000, -2.731, 6.317]],
  "species": ["Sr", "La", "La", "La", "Mg", "Al", "O", "O", "O", "O", "O", "O", "O", "O"],
  "fractional_positions": [[0.000, 0.000, 0.000], [0.000, 0.281, 0.281], [0.500, 0.504, 0.504], [0.500, 0.783, 0.783], [0.500, 0.138, 0.138], [0.000, 0.645, 0.645], [0.000, 0.472, 0.472], [0.000, 0.805, 0.805], [0.244, 0.406, 0.884], [0.244, 0.884, 0.406], [0.500, 0.319, 0.319], [0.500, 0.967, 0.967], [0.756, 0.406, 0.884], [0.756, 0.884, 0.406]]
}

Number 1: E -41.53 eV per cell, formation energy -1014 meV/atom. Number 2: E -32.21 eV per cell, formation energy -576 meV/atom. Number 3: E -377.16 eV per cell, formation energy -1282 meV/atom. Number 4: E -818.88 eV per cell, formation energy -2773 meV/atom. Number 5: E -135.19 eV per cell, formation energy -2053 meV/atom. Number 6: E -617.52 eV per cell, formation energy -1693 meV/atom. Number 7: E -215.87 eV per cell, formation energy -2187 meV/atom. Number 8: E -39.17 eV per cell, formation energy -361 meV/atom. Number 9: E -105.92 eV per cell, formation energy -3570 meV/atom.